#one
Ba3Br2O2: optimized geometry, PBE.

Structure (POSCAR):
```
Ba3Br2O2
1.0
-4.3962 -6.1278 -3.2211
5.4611 -4.9245 1.9150
-0.7995 -3.1990 7.1769
Ba Br O
6 4 4
Direct
0.5000 0.0000 0.5000
0.0000 0.0000 0.0000
0.8753 0.5912 0.7765
0.3753 0.4088 0.7235
0.6247 0.5912 0.2765
0.1247 0.4088 0.2235
0.3514 0.8147 0.9273
0.1486 0.8147 0.4273
0.8514 0.1853 0.5727
0.6486 0.1853 0.0727
0.6100 0.6602 0.5664
0.1100 0.3398 0.9336
0.8900 0.6602 0.0664
0.3900 0.3398 0.4336
```

Spin magnetization ... 0.000 μB per atom

=====

#two
Ba3Br2O2: optimized geometry, PBE.

Structure (POSCAR):
```
Ba3Br2O2
1.0
-1.7873 -0.4636 6.1021
9.3373 -5.3904 2.3253
5.9927 11.5152 2.6301
Ba Br O
12 8 8
Direct
0.2500 0.7099 0.0506
0.2500 0.0606 0.0761
0.7500 0.8642 0.2089
0.2500 0.3642 0.2911
0.7500 0.5606 0.4239
0.7500 0.2099 0.4494
0.2500 0.7901 0.5506
0.2500 0.4394 0.5761
0.7500 0.6358 0.7089
0.2500 0.1358 0.7911
0.7500 0.9394 0.9239
0.7500 0.2901 0.9494
0.7500 0.5582 0.1315
0.7500 0.1854 0.1923
0.2500 0.6854 0.3077
0.2500 0.0582 0.3685
0.7500 0.9418 0.6315
0.7500 0.3146 0.6923
0.2500 0.8146 0.8077
0.2500 0.4418 0.8685
0.0004 0.8770 0.0735
0.4996 0.8770 0.0735
0.9996 0.3770 0.4265
0.5004 0.3770 0.4265
0.0004 0.6230 0.5735
0.4996 0.6230 0.5735
0.5004 0.1230 0.9265
0.9996 0.1230 0.9265
```

Spin magnetization ... 0.000 μB per atom

=====

In meV per atom, relative to the most stable structure: #one 0; #two 5.

=====

#one
BaCaC2O6: optimized geometry, PBE.

Structure (POSCAR):
```
BaCaC2O6
1.0
4.3942 -7.6109 0.0000
4.3942 7.6109 0.0000
0.0000 0.0000 6.2433
Ba Ca C O
3 3 6 18
Direct
0.0000 0.6868 0.0000
0.6868 0.0000 0.0000
0.3132 0.3132 0.0000
0.3599 0.0000 0.5000
0.6401 0.6401 0.5000
0.0000 0.3599 0.5000
0.6667 0.3333 0.6455
0.0000 0.0000 0.2650
0.0000 0.0000 0.7350
0.6667 0.3333 0.1838
0.3333 0.6667 0.8162
0.3333 0.6667 0.3545
0.0022 0.1489 0.7416
0.9978 0.1467 0.2584
0.8203 0.3449 0.1809
0.1902 0.6760 0.3583
0.8511 0.8533 0.7416
0.1489 0.0022 0.2584
0.8098 0.4858 0.6417
0.4754 0.6551 0.8191
0.8533 0.8511 0.2584
0.6551 0.4754 0.1809
0.3240 0.5142 0.3583
0.6760 0.1902 0.6417
0.3449 0.8203 0.8191
0.1797 0.5246 0.8191
0.1467 0.9978 0.7416
0.5142 0.3240 0.6417
0.5246 0.1797 0.1809
0.4858 0.8098 0.3583
```

Spin magnetization ... 0.000 μB per atom

=====

#two
BaCaC2O6: optimized geometry, PBE.

Structure (POSCAR):
```
BaCaC2O6
1.0
5.3013 0.0000 0.0000
0.0000 6.6342 0.0000
0.0000 2.2695 7.9403
Ba Ca C O
2 2 4 12
Direct
0.7500 0.2862 0.8550
0.2500 0.7138 0.1450
0.2500 0.8011 0.6221
0.7500 0.1989 0.3779
0.2500 0.2521 0.6152
0.7500 0.7479 0.3848
0.7500 0.7508 0.8949
0.2500 0.2492 0.1051
0.9605 0.8475 0.3942
0.4605 0.1525 0.6058
0.5395 0.8475 0.3942
0.0395 0.1525 0.6058
0.2500 0.1404 0.9972
0.7500 0.8596 0.0028
0.4631 0.3099 0.1557
0.9631 0.6901 0.8443
0.0369 0.3099 0.1557
0.5369 0.6901 0.8443
0.7500 0.5658 0.3607
0.2500 0.4342 0.6393
```

Spin magnetization ... 0.000 μB per atom

=====

In meV per atom, relative to the most stable structure: #one 5; #two 0.

=====

#one
Ba2CuC6O16: optimized geometry, PBE.

Structure (POSCAR):
```
Ba2CuC6O16
1.0
6.4380 0.0000 0.0000
0.5069 9.1412 0.0000
1.3159 4.4848 9.3307
Ba Cu C O
2 1 6 16
Direct
0.2668 0.4890 0.3413
0.7332 0.5110 0.6587
0.5000 0.5000 0.0000
0.1316 0.9091 0.3920
0.8684 0.0909 0.6080
0.2110 0.8835 0.8961
0.7890 0.1165 0.1039
0.7001 0.6386 0.3188
0.2999 0.3614 0.6812
0.2273 0.9980 0.2856
0.7727 0.0020 0.7144
0.0358 0.8193 0.4998
0.9642 0.1807 0.5002
0.1965 0.8234 0.0222
0.8035 0.1766 0.9778
0.2245 0.9439 0.7704
0.7755 0.0561 0.2296
0.8875 0.5985 0.3555
0.1125 0.4015 0.6445
0.6477 0.6400 0.2039
0.3523 0.3600 0.7961
0.6360 0.6225 0.8427
0.3640 0.3775 0.1573
0.5598 0.6698 0.4044
0.4402 0.3302 0.5956
```

Spin magnetization ... 0.120 μB per atom

=====

#two
Ba2CuC6O16: optimized geometry, PBE.

Structure (POSCAR):
```
Ba2CuC6O16
1.0
-6.7757 0.0000 0.0000
-0.9040 7.7467 0.0000
-1.3087 3.2125 -9.2027
Ba Cu C O
2 1 6 16
Direct
0.2628 0.5012 0.3477
0.7372 0.4988 0.6523
0.5000 0.5000 0.0000
0.1206 0.9092 0.3902
0.8794 0.0908 0.6098
0.2036 0.8868 0.8897
0.7964 0.1132 0.1103
0.6986 0.6380 0.3056
0.3014 0.3620 0.6944
0.2124 0.9993 0.2864
0.7876 0.0007 0.7136
0.0323 0.8127 0.4947
0.9677 0.1873 0.5053
0.2027 0.8207 0.0163
0.7973 0.1793 0.9837
0.2037 0.9531 0.7630
0.7963 0.0469 0.2370
0.8778 0.5864 0.3438
0.1222 0.4136 0.6562
0.6531 0.6414 0.1829
0.3469 0.3586 0.8171
0.6438 0.6278 0.8545
0.3562 0.3722 0.1455
0.5612 0.6794 0.3982
0.4388 0.3206 0.6018
```

Spin magnetization ... 0.121 μB per atom

=====

In meV per atom, relative to the most stable structure: #one 0; #two 38.